No. 1
A plane-wave DFT calculation with PBE-GGA was carried out for crystalline Y3NbSiS5O24 at its relaxed geometry.

Lattice parameters (Å, degrees): 9.201 9.207 23.698 89.68 89.80 60.05
Space group P1 (No. 1)
Symmetry-distinct sites (fractional):
Y1 0.000 0.000 0.000 (multiplicity 1)
Y2 0.000 0.006 0.716 (multiplicity 1)
Y3 0.320 0.336 0.667 (multiplicity 1)
Y4 0.327 0.329 0.879 (multiplicity 1)
Y5 0.334 0.333 0.174 (multiplicity 1)
Y6 0.336 0.335 0.384 (multiplicity 1)
Y7 0.660 0.668 0.548 (multiplicity 1)
Y8 0.667 0.665 0.049 (multiplicity 1)
Y9 0.999 0.998 0.215 (multiplicity 1)
Nb1 0.658 0.677 0.345 (multiplicity 1)
Nb2 0.672 0.660 0.835 (multiplicity 1)
Nb3 0.999 0.994 0.499 (multiplicity 1)
Si1 0.044 0.333 0.775 (multiplicity 1)
Si2 0.373 0.673 0.444 (multiplicity 1)
Si3 0.674 0.950 0.444 (multiplicity 1)
S1 0.004 0.285 0.108 (multiplicity 1)
S2 0.005 0.719 0.606 (multiplicity 1)
S3 0.029 0.621 0.276 (multiplicity 1)
S4 0.278 0.002 0.606 (multiplicity 1)
S5 0.286 0.710 0.108 (multiplicity 1)
S6 0.346 0.028 0.277 (multiplicity 1)
S7 0.346 0.620 0.777 (multiplicity 1)
S8 0.387 0.944 0.940 (multiplicity 1)
S9 0.624 0.031 0.777 (multiplicity 1)
S10 0.625 0.345 0.276 (multiplicity 1)
S11 0.667 0.386 0.939 (multiplicity 1)
S12 0.710 0.002 0.108 (multiplicity 1)
S13 0.719 0.275 0.606 (multiplicity 1)
S14 0.945 0.669 0.939 (multiplicity 1)
S15 0.946 0.373 0.442 (multiplicity 1)
O1 0.005 0.791 0.266 (multiplicity 1)
O2 0.020 0.812 0.555 (multiplicity 1)
O3 0.027 0.182 0.057 (multiplicity 1)
O4 0.107 0.517 0.225 (multiplicity 1)
O5 0.113 0.524 0.932 (multiplicity 1)
O6 0.114 0.345 0.429 (multiplicity 1)
O7 0.119 0.379 0.721 (multiplicity 1)
O8 0.138 0.544 0.325 (multiplicity 1)
O9 0.149 0.315 0.831 (multiplicity 1)
O10 0.154 0.303 0.116 (multiplicity 1)
O11 0.163 0.556 0.608 (multiplicity 1)
O12 0.171 0.022 0.556 (multiplicity 1)
O13 0.183 0.790 0.057 (multiplicity 1)
O14 0.189 0.852 0.456 (multiplicity 1)
O15 0.202 0.979 0.658 (multiplicity 1)
O16 0.203 0.789 0.769 (multiplicity 1)
O17 0.204 0.000 0.267 (multiplicity 1)
O18 0.207 0.814 0.158 (multiplicity 1)
O19 0.219 0.959 0.945 (multiplicity 1)
O20 0.292 0.155 0.610 (multiplicity 1)
O21 0.304 0.542 0.116 (multiplicity 1)
O22 0.312 0.136 0.326 (multiplicity 1)
O23 0.322 0.542 0.828 (multiplicity 1)
O24 0.329 0.535 0.426 (multiplicity 1)
O25 0.371 0.110 0.934 (multiplicity 1)
O26 0.377 0.102 0.225 (multiplicity 1)
O27 0.387 0.514 0.727 (multiplicity 1)
O28 0.446 0.854 0.600 (multiplicity 1)
O29 0.454 0.691 0.101 (multiplicity 1)
O30 0.473 0.838 0.890 (multiplicity 1)
O31 0.478 0.700 0.388 (multiplicity 1)
O32 0.486 0.865 0.991 (multiplicity 1)
O33 0.490 0.640 0.497 (multiplicity 1)
O34 0.498 0.644 0.790 (multiplicity 1)
O35 0.501 0.858 0.287 (multiplicity 1)
O36 0.519 0.100 0.727 (multiplicity 1)
O37 0.520 0.376 0.225 (multiplicity 1)
O38 0.521 0.366 0.930 (multiplicity 1)
O39 0.525 0.128 0.426 (multiplicity 1)
O40 0.543 0.151 0.116 (multiplicity 1)
O41 0.547 0.311 0.325 (multiplicity 1)
O42 0.549 0.136 0.827 (multiplicity 1)
O43 0.553 0.289 0.611 (multiplicity 1)
O44 0.637 0.860 0.790 (multiplicity 1)
O45 0.644 0.486 0.990 (multiplicity 1)
O46 0.645 0.495 0.287 (multiplicity 1)
O47 0.657 0.858 0.497 (multiplicity 1)
O48 0.687 0.477 0.889 (multiplicity 1)
O49 0.692 0.852 0.100 (multiplicity 1)
O50 0.705 0.439 0.599 (multiplicity 1)
O51 0.705 0.818 0.387 (multiplicity 1)
O52 0.790 0.026 0.057 (multiplicity 1)
O53 0.794 0.198 0.266 (multiplicity 1)
O54 0.796 0.995 0.769 (multiplicity 1)
O55 0.809 0.168 0.555 (multiplicity 1)
O56 0.816 0.975 0.158 (multiplicity 1)
O57 0.818 0.195 0.657 (multiplicity 1)
O58 0.822 0.221 0.944 (multiplicity 1)
O59 0.833 0.456 0.391 (multiplicity 1)
O60 0.835 0.689 0.889 (multiplicity 1)
O61 0.847 0.509 0.793 (multiplicity 1)
O62 0.847 0.967 0.455 (multiplicity 1)
O63 0.854 0.452 0.100 (multiplicity 1)
O64 0.861 0.636 0.286 (multiplicity 1)
O65 0.862 0.694 0.598 (multiplicity 1)
O66 0.869 0.643 0.990 (multiplicity 1)
O67 0.877 0.473 0.492 (multiplicity 1)
O68 0.953 0.825 0.944 (multiplicity 1)
O69 0.957 0.205 0.450 (multiplicity 1)
O70 0.977 0.205 0.158 (multiplicity 1)
O71 0.982 0.817 0.657 (multiplicity 1)
O72 0.998 0.189 0.767 (multiplicity 1)

Output
formation energy: -2.642 eV/atom
size of the total moment: 0.000 μB per cell
energy: -7.285 eV/atom


No. 2
A plane-wave DFT calculation with PBE-GGA was carried out for crystalline LiCu2F5 at its relaxed geometry.

Lattice parameters (Å, degrees): 7.605 10.290 6.197 90.00 121.59 90.00
Space group C2/c (No. 15)
Symmetry-distinct sites (fractional):
Li1 0.000 0.135 0.250 (multiplicity 4)
Cu1 0.000 0.500 0.000 (multiplicity 4)
Cu2 0.250 0.250 0.000 (multiplicity 4)
F1 0.000 0.168 0.750 (multiplicity 4)
F2 0.112 0.333 0.147 (multiplicity 8)
F3 0.247 0.081 0.271 (multiplicity 8)

Output
formation energy: -2.067 eV/atom
size of the total moment: 8.001 μB per cell
energy: -4.238 eV/atom


No. 3
A plane-wave DFT calculation with PBE-GGA was carried out for crystalline Na3Ta5ZnSi6S3O36 at its relaxed geometry.

Lattice parameters (Å, degrees): 15.298 8.878 22.933 90.00 90.56 90.00
Space group Cc (No. 9)
Symmetry-distinct sites (fractional):
Na1 0.000 0.001 0.000 (multiplicity 4)
Na2 0.168 0.495 0.829 (multiplicity 4)
Na3 0.331 0.012 0.665 (multiplicity 4)
Ta1 0.156 0.496 0.477 (multiplicity 4)
Ta2 0.329 0.010 0.815 (multiplicity 4)
Ta3 0.329 0.011 0.520 (multiplicity 4)
Ta4 0.490 0.499 0.858 (multiplicity 4)
Ta5 0.495 0.487 0.643 (multiplicity 4)
Zn1 0.164 0.482 0.683 (multiplicity 4)
Si1 0.021 0.366 0.087 (multiplicity 4)
Si2 0.163 0.212 0.586 (multiplicity 4)
Si3 0.185 0.147 0.918 (multiplicity 4)
Si4 0.326 0.287 0.415 (multiplicity 4)
Si5 0.346 0.359 0.749 (multiplicity 4)
Si6 0.470 0.144 0.918 (multiplicity 4)
S1 0.139 0.143 0.251 (multiplicity 4)
S2 0.307 0.353 0.084 (multiplicity 4)
S3 0.494 0.214 0.251 (multiplicity 4)
O1 0.004 0.187 0.804 (multiplicity 4)
O2 0.007 0.176 0.091 (multiplicity 4)
O3 0.061 0.427 0.146 (multiplicity 4)
O4 0.067 0.432 0.423 (multiplicity 4)
O5 0.070 0.383 0.750 (multiplicity 4)
O6 0.073 0.105 0.593 (multiplicity 4)
O7 0.080 0.387 0.027 (multiplicity 4)
O8 0.086 0.103 0.303 (multiplicity 4)
O9 0.090 0.070 0.905 (multiplicity 4)
O10 0.098 0.073 0.197 (multiplicity 4)
O11 0.147 0.304 0.247 (multiplicity 4)
O12 0.149 0.319 0.527 (multiplicity 4)
O13 0.177 0.327 0.926 (multiplicity 4)
O14 0.188 0.298 0.643 (multiplicity 4)
O15 0.227 0.068 0.255 (multiplicity 4)
O16 0.231 0.068 0.974 (multiplicity 4)
O17 0.244 0.093 0.573 (multiplicity 4)
O18 0.244 0.398 0.426 (multiplicity 4)
O19 0.247 0.113 0.859 (multiplicity 4)
O20 0.253 0.440 0.748 (multiplicity 4)
O21 0.258 0.373 0.137 (multiplicity 4)
O22 0.270 0.424 0.031 (multiplicity 4)
O23 0.313 0.180 0.358 (multiplicity 4)
O24 0.321 0.189 0.075 (multiplicity 4)
O25 0.344 0.171 0.756 (multiplicity 4)
O26 0.345 0.183 0.473 (multiplicity 4)
O27 0.398 0.423 0.091 (multiplicity 4)
O28 0.404 0.423 0.806 (multiplicity 4)
O29 0.411 0.118 0.975 (multiplicity 4)
O30 0.411 0.124 0.256 (multiplicity 4)
O31 0.413 0.395 0.694 (multiplicity 4)
O32 0.415 0.390 0.408 (multiplicity 4)
O33 0.422 0.069 0.575 (multiplicity 4)
O34 0.427 0.068 0.859 (multiplicity 4)
O35 0.483 0.310 0.198 (multiplicity 4)
O36 0.485 0.325 0.908 (multiplicity 4)

Output
formation energy: -2.824 eV/atom
size of the total moment: 0.000 μB per cell
energy: -7.692 eV/atom


No. 4
A plane-wave DFT calculation with PBE-GGA was carried out for crystalline BaCaCuBiO6 at its relaxed geometry.

Lattice parameters (Å, degrees): 8.250 8.250 8.250 90.00 90.00 90.00
Space group F-43m (No. 216)
Symmetry-distinct sites (fractional):
Ba1 0.000 0.000 0.000 (multiplicity 4)
Ca1 0.000 0.000 0.500 (multiplicity 4)
Cu1 0.250 0.250 0.250 (multiplicity 4)
Bi1 0.250 0.250 0.750 (multiplicity 4)
O1 0.011 0.250 0.250 (multiplicity 24)

Output
formation energy: -1.891 eV/atom
size of the total moment: 0.000 μB per cell
energy: -5.639 eV/atom


No. 5
A plane-wave DFT calculation with PBE-GGA was carried out for crystalline Al13Cu3Se24 at its relaxed geometry.

Lattice parameters (Å, degrees): 12.828 7.481 18.318 90.00 90.35 90.00
Space group Cm (No. 8)
Symmetry-distinct sites (fractional):
Al1 0.000 0.000 0.000 (multiplicity 2)
Al2 0.002 0.000 0.389 (multiplicity 2)
Al3 0.086 0.260 0.213 (multiplicity 4)
Al4 0.174 0.500 0.675 (multiplicity 2)
Al5 0.251 0.246 0.885 (multiplicity 4)
Al6 0.326 0.500 0.212 (multiplicity 2)
Al7 0.330 0.000 0.718 (multiplicity 2)
Al8 0.336 0.000 0.344 (multiplicity 2)
Al9 0.419 0.258 0.549 (multiplicity 4)
Al10 0.497 0.000 0.885 (multiplicity 2)
Cu1 0.162 0.500 0.426 (multiplicity 2)
Cu2 0.332 0.000 0.095 (multiplicity 2)
Cu3 0.499 0.500 0.756 (multiplicity 2)
Se1 0.000 0.000 0.140 (multiplicity 2)
Se2 0.010 0.500 0.134 (multiplicity 2)
Se3 0.079 0.237 0.469 (multiplicity 4)
Se4 0.089 0.267 0.965 (multiplicity 4)
Se5 0.155 0.000 0.297 (multiplicity 2)
Se6 0.166 0.500 0.808 (multiplicity 2)
Se7 0.167 0.500 0.293 (multiplicity 2)
Se8 0.175 0.000 0.803 (multiplicity 2)
Se9 0.245 0.264 0.134 (multiplicity 4)
Se10 0.254 0.233 0.630 (multiplicity 4)
Se11 0.321 0.500 0.964 (multiplicity 2)
Se12 0.332 0.000 0.474 (multiplicity 2)
Se13 0.333 0.000 0.961 (multiplicity 2)
Se14 0.341 0.500 0.468 (multiplicity 2)
Se15 0.412 0.235 0.802 (multiplicity 4)
Se16 0.422 0.269 0.296 (multiplicity 4)
Se17 0.490 0.000 0.630 (multiplicity 2)
Se18 0.498 0.500 0.627 (multiplicity 2)

Output
formation energy: -0.901 eV/atom
size of the total moment: 1.050 μB per cell
energy: -4.240 eV/atom


No. 6
A plane-wave DFT calculation with PBE-GGA was carried out for crystalline Zr4CoP at its relaxed geometry.

Lattice parameters (Å, degrees): 6.418 6.418 5.463 90.00 90.00 90.00
Space group P4/mcc (No. 124)
Symmetry-distinct sites (fractional):
Zr1 0.161 0.333 0.000 (multiplicity 8)
Co1 0.000 0.000 0.250 (multiplicity 2)
P1 0.500 0.500 0.250 (multiplicity 2)

Output
formation energy: -0.618 eV/atom
size of the total moment: 0.000 μB per cell
energy: -8.403 eV/atom


No. 7
A plane-wave DFT calculation with PBE-GGA was carried out for crystalline LiWN2 at its relaxed geometry.

Lattice parameters (Å, degrees): 2.9609 2.9609 16.2101 90.00 90.00 120.00
Space group R3m (No. 160, hexagonal axes)
Symmetry-distinct sites (fractional):
Li1 0.0000 0.0000 0.0000 (multiplicity 3)
W1 0.0000 0.0000 0.8258 (multiplicity 3)
N1 0.0000 0.0000 0.2330 (multiplicity 3)
N2 0.0000 0.0000 0.4176 (multiplicity 3)

Output
formation energy: -0.652 eV/atom
size of the total moment: 0.001 μB per cell
energy: -8.357 eV/atom


No. 8
A plane-wave DFT calculation with PBE-GGA was carried out for crystalline LaAsS at its relaxed geometry.

Lattice parameters (Å, degrees): 17.761 3.980 4.048 90.00 90.00 90.00
Space group Pnma (No. 62)
Symmetry-distinct sites (fractional):
La1 0.147 0.250 0.219 (multiplicity 4)
As1 0.002 0.250 0.701 (multiplicity 4)
S1 0.186 0.750 0.719 (multiplicity 4)

Output
formation energy: -1.826 eV/atom
energy: -6.235 eV/atom


No. 9
A plane-wave DFT calculation with PBE-GGA was carried out for crystalline EuHfNbSnO6 at its relaxed geometry.

Lattice parameters (Å, degrees): 8.228 8.228 8.228 90.00 90.00 90.00
Space group F-43m (No. 216)
Symmetry-distinct sites (fractional):
Eu1 0.000 0.000 0.000 (multiplicity 4)
Hf1 0.250 0.250 0.750 (multiplicity 4)
Nb1 0.250 0.250 0.250 (multiplicity 4)
Sn1 0.000 0.000 0.500 (multiplicity 4)
O1 0.002 0.250 0.250 (multiplicity 24)

Output
formation energy: -2.961 eV/atom
size of the total moment: 25.785 μB per cell
energy: -8.951 eV/atom


No. 10
A plane-wave DFT calculation with PBE-GGA was carried out for crystalline Dy2Si3Pd at its relaxed geometry.

Lattice parameters (Å, degrees): 8.2160 8.2160 7.8813 90.00 90.00 120.00
Space group P6_3/mmc (No. 194)
Symmetry-distinct sites (fractional):
Dy1 0.0000 0.0000 0.2500 (multiplicity 2)
Dy2 0.0236 0.5118 0.2500 (multiplicity 6)
Si1 0.1657 0.3313 0.5016 (multiplicity 12)
Pd1 0.3333 0.6667 0.5445 (multiplicity 4)

Output
formation energy: -0.890 eV/atom
size of the total moment: 0.001 μB per cell
energy: -6.001 eV/atom


No. 11
A plane-wave DFT calculation with PBE-GGA was carried out for crystalline ZrTiTe4 at its relaxed geometry.

Lattice parameters (Å, degrees): 6.703 3.882 6.943 90.00 90.13 90.00
Space group P2/m (No. 10)
Symmetry-distinct sites (fractional):
Zr1 0.000 0.000 0.000 (multiplicity 1)
Ti1 0.500 0.500 0.000 (multiplicity 1)
Te1 0.177 0.500 0.259 (multiplicity 2)
Te2 0.344 0.000 0.750 (multiplicity 2)

Output
formation energy: -1.058 eV/atom
energy: -5.613 eV/atom


no.,V (Å³/cell)
1,1739.4
2,413.1
3,3114.4
4,561.6
5,1757.9
6,225.0
7,123.1
8,286.2
9,556.9
10,460.7
11,180.7